First-principles (PBE-GGA) data for an optimized crystal structure of NaYSiSnS2O12, as listed in the Materials Project.

a = 9.0556 Å, b = 9.0555 Å, c = 23.5319 Å
α = 90.97°, β = 90.00°, γ = 120.00°
With the nearest neighbours (Å) after each atom.
Fractional positions:
S: 0.3119 0.9558 0.9156  4 O 1.46-1.50
O: 0.1464 0.4787 0.8611  1 Si 1.59
Sn: 0.6502 0.3074 0.1834  4 O 1.97-2.20
O: 0.8763 0.5257 0.4225  1 S 1.47
O: 0.0094 0.8048 0.7002  1 S 1.46
O: 0.8188 0.7843 0.3041  1 S 1.51
O: 0.1268 0.6657 0.3652  1 S 1.46
O: 0.1442 0.1815 0.4152  1 Si 1.68
O: 0.8299 0.3103 0.2469  1 S 1.50
O: 0.8887 0.3741 0.6368  1 S 1.52
O: 0.6736 0.5337 0.5342  1 S 1.46
S: 0.9602 0.6125 0.0859  4 O 1.46-1.51
O: 0.5437 0.6716 0.2555  1 S 1.47
O: 0.1278 0.6716 0.7555  1 S 1.47
O: 0.9548 0.1826 0.3028  1 S 1.51
O: 0.9870 0.7858 0.0908  1 S 1.47
O: 0.0200 0.8327 0.4134  1 S 1.51
O: 0.6283 0.1090 0.1398  1 Si 1.67
Sn: 0.3312 0.6645 0.0170  2 O 1.95-1.97
Na: 0.3698 0.7122 0.6653  3 O 2.37-2.55
Si: 0.3690 0.0243 0.5797  4 O 1.59-1.68
O: 0.8194 0.5327 0.7444  1 S 1.50
O: 0.1514 0.7103 0.4693  1 S 1.51
O: 0.6828 0.1338 0.4218  1 S 1.47
O: 0.4724 0.8359 0.0758  1 Si 1.68
O: 0.1929 0.9940 0.1927  1 Si 1.59
O: 0.0373 0.1815 0.9152  1 Si 1.68
O: 0.8752 0.5124 0.1385  1 S 1.51
O: 0.8075 0.9531 0.4089  1 S 1.50
O: 0.1361 0.4567 0.2557  1 S 1.47
Y: 0.0008 0.9996 0.1452  6 O 2.09-2.31
S: 0.6439 0.9558 0.4156  4 O 1.46-1.50
O: 0.8667 0.3328 0.5326  1 S 1.46
O: 0.4893 0.1912 0.2473  1 Si 1.68
S: 0.3046 0.2878 0.7505  4 O 1.46-1.51
Y: 0.3356 0.6695 0.3116  6 O 2.09-2.29
O: 0.4807 0.1090 0.6398  1 Si 1.67
O: 0.2061 0.2030 0.6992  1 S 1.46
O: 0.4910 0.6211 0.5830  1 S 1.50
Si: 0.3227 0.3726 0.4154  4 O 1.59-1.68
S: 0.3813 0.3477 0.0832  4 O 1.46-1.52
Na: 0.3424 0.7122 0.1653  3 O 2.37-2.55
O: 0.3206 0.4567 0.7557  1 S 1.47
O: 0.5348 0.8810 0.3653  1 S 1.46
O: 0.3634 0.8359 0.5758  1 Si 1.68
O: 0.4853 0.3741 0.1368  1 S 1.52
Y: 0.9988 0.9996 0.6452  6 O 2.09-2.31
O: 0.5639 0.8572 0.4684  1 S 1.50
Sn: 0.0223 0.0146 0.3508  2 O 1.96-2.01
O: 0.3019 0.4615 0.4758  1 Si 1.68
O: 0.8126 0.8327 0.9134  1 S 1.51
O: 0.3462 0.8810 0.8653  1 S 1.46
Sn: 0.3333 0.6645 0.5170  2 O 1.95-1.97
O: 0.7133 0.5327 0.2444  1 S 1.50
Si: 0.0499 0.3726 0.9154  4 O 1.59-1.68
O: 0.5389 0.6657 0.8652  1 S 1.46
O: 0.6493 0.5257 0.9225  1 S 1.47
O: 0.8596 0.3469 0.9175  1 Si 1.62
O: 0.9969 0.2030 0.1992  1 S 1.46
Si: 0.3017 0.0087 0.2478  4 O 1.59-1.68
Si: 0.7070 0.0087 0.7478  4 O 1.59-1.68
O: 0.8161 0.0315 0.8078  1 Si 1.67
O: 0.1783 0.9948 0.5843  1 Si 1.61
Si: 0.6553 0.0243 0.0797  4 O 1.59-1.68
O: 0.4660 0.3328 0.0326  1 S 1.46
O: 0.3320 0.8477 0.2513  1 Si 1.62
O: 0.5157 0.8477 0.7513  1 Si 1.62
O: 0.9655 0.7843 0.8041  1 S 1.51
O: 0.1301 0.6211 0.0830  1 S 1.50
O: 0.6372 0.5124 0.6385  1 S 1.51
O: 0.6726 0.1355 0.0257  1 Si 1.59
O: 0.2934 0.8572 0.9684  1 S 1.50
Y: 0.6738 0.3222 0.9777  4 O 2.05-2.28
Y: 0.3339 0.6695 0.8116  6 O 2.09-2.29
O: 0.2154 0.0315 0.3078  1 Si 1.67
Na: 0.9749 0.0203 0.9997  3 O 2.38-2.56
O: 0.8165 0.9948 0.0843  1 Si 1.61
O: 0.8011 0.9940 0.6927  1 Si 1.59
O: 0.3627 0.5031 0.0809  1 S 1.50
O: 0.7019 0.1912 0.7473  1 Si 1.68
S: 0.6523 0.6125 0.5859  4 O 1.46-1.51
O: 0.8601 0.5337 0.0342  1 S 1.46
O: 0.5589 0.7103 0.9693  1 S 1.51
Sn: 0.9924 0.0146 0.8508  2 O 1.96-2.01
O: 0.2108 0.1953 0.0875  1 S 1.47
O: 0.7954 0.8048 0.2002  1 S 1.46
S: 0.7183 0.7008 0.2502  4 O 1.46-1.51
S: 0.9832 0.2878 0.2505  4 O 1.46-1.51
O: 0.1404 0.5031 0.5809  1 S 1.50
Sn: 0.6571 0.3074 0.6834  4 O 1.97-2.20
S: 0.9825 0.7008 0.7502  4 O 1.46-1.51
O: 0.3323 0.4787 0.3611  1 Si 1.59
O: 0.2278 0.1826 0.8028  1 S 1.51
S: 0.9664 0.3477 0.5832  4 O 1.46-1.52
O: 0.1456 0.9531 0.9089  1 S 1.50
Na: 0.6244 0.3286 0.3321  2 O 2.33-2.41
Na: 0.0454 0.0203 0.4997  3 O 2.38-2.56
S: 0.6360 0.6794 0.9166  4 O 1.46-1.51
O: 0.4873 0.3469 0.4175  1 Si 1.62
O: 0.4628 0.1355 0.5257  1 Si 1.59
Na: 0.7042 0.3286 0.8321  2 O 2.33-2.41
O: 0.4510 0.1338 0.9218  1 S 1.47
O: 0.4804 0.3103 0.7469  1 S 1.50
Y: 0.6484 0.3222 0.4777  4 O 2.05-2.28
O: 0.9845 0.1953 0.5875  1 S 1.47
O: 0.1596 0.4615 0.9758  1 Si 1.68
S: 0.0434 0.6794 0.4166  4 O 1.46-1.51
O: 0.7989 0.7858 0.5908  1 S 1.47

Computed properties:
Electronic total energy: -6.7085 eV/atom